The following is a GGA+U calculation of a geometry-optimized Li9Mn2Co5O16 structure, from the Materials Project database.

abc: 5.0485 5.0974 11.2010
angles: 81.01 86.35 81.27
Space group P1 (No. 1)
Asymmetric unit:
Li: 0.0000 0.0000 0.0000 (multiplicity 1)
Li: 0.0011 0.5000 0.4907 (multiplicity 1)
Li: 0.0109 0.2474 0.7381 (multiplicity 1)
Li: 0.4796 0.1291 0.8663 (multiplicity 1)
Li: 0.4870 0.3757 0.6152 (multiplicity 1)
Li: 0.4959 0.6172 0.3669 (multiplicity 1)
Li: 0.4994 0.8781 0.1297 (multiplicity 1)
Li: 0.7459 0.3081 0.1865 (multiplicity 1)
Li: 0.9882 0.7492 0.2497 (multiplicity 1)
Mn: 0.2449 0.4364 0.0602 (multiplicity 1)
Mn: 0.7434 0.5619 0.9318 (multiplicity 1)
Co: 0.2410 0.9377 0.5533 (multiplicity 1)
Co: 0.2442 0.6856 0.8067 (multiplicity 1)
Co: 0.2493 0.1875 0.3080 (multiplicity 1)
Co: 0.7448 0.0644 0.4322 (multiplicity 1)
Co: 0.7481 0.8122 0.6810 (multiplicity 1)
O: 0.1041 0.3716 0.9037 (multiplicity 1)
O: 0.1260 0.6038 0.6610 (multiplicity 1)
O: 0.1334 0.8459 0.4066 (multiplicity 1)
O: 0.1402 0.1194 0.1429 (multiplicity 1)
O: 0.3511 0.5264 0.2029 (multiplicity 1)
O: 0.3575 0.0011 0.7165 (multiplicity 1)
O: 0.3642 0.2736 0.4650 (multiplicity 1)
O: 0.3850 0.7542 0.9578 (multiplicity 1)
O: 0.6000 0.2561 0.0178 (multiplicity 1)
O: 0.6043 0.4974 0.7810 (multiplicity 1)
O: 0.6081 0.9808 0.2865 (multiplicity 1)
O: 0.6284 0.7489 0.5318 (multiplicity 1)
O: 0.8639 0.1328 0.5888 (multiplicity 1)
O: 0.8805 0.8720 0.8330 (multiplicity 1)
O: 0.8825 0.3665 0.3433 (multiplicity 1)
O: 0.8890 0.6435 0.0736 (multiplicity 1)

Output
- Formation enthalpy at 0 K: -5728 kJ/mol of formula units
- Final energy: -5.85 eV per atom
- MP2020-corrected energy: -6.55 eV/atom